(1)
{"formula": "NaAgS2O4", "functional": "GGA-PBE", "state": "optimized geometry", "lattice": [[7.8896, 0.0000, 0.0000], [0.0000, 8.5323, 0.0000], [-0.6083, 0.0000, 8.3462]], "species": ["Na", "Na", "Na", "Na", "Ag", "Ag", "Ag", "Ag", "S", "S", "S", "S", "S", "S", "S", "S", "O", "O", "O", "O", "O", "O", "O", "O", "O", "O", "O", "O", "O", "O", "O", "O"], "frac_coords": [[0.0000, 0.0108, 0.0000], [0.0000, 0.9892, 0.5000], [0.4964, 0.0764, 0.9945], [0.4964, 0.9236, 0.4945], [0.4355, 0.4521, 0.6802], [0.4355, 0.5479, 0.1802], [0.9295, 0.4329, 0.4338], [0.9295, 0.5671, 0.9338], [0.2450, 0.4370, 0.3963], [0.2450, 0.5630, 0.8963], [0.2777, 0.2104, 0.2898], [0.2777, 0.7896, 0.7898], [0.7565, 0.4341, 0.6757], [0.7565, 0.5659, 0.1757], [0.7841, 0.1922, 0.7469], [0.7841, 0.8078, 0.2469], [0.1450, 0.2012, 0.1584], [0.1450, 0.7988, 0.6584], [0.2627, 0.0937, 0.4165], [0.2627, 0.9063, 0.9165], [0.3691, 0.2389, 0.7781], [0.3691, 0.7611, 0.2781], [0.4502, 0.2193, 0.2335], [0.4502, 0.7807, 0.7335], [0.6604, 0.1073, 0.6419], [0.6604, 0.8927, 0.1419], [0.7488, 0.1910, 0.9175], [0.7488, 0.8090, 0.4175], [0.8703, 0.2081, 0.3477], [0.8703, 0.7919, 0.8477], [0.9618, 0.1509, 0.7261], [0.9618, 0.8491, 0.2261]], "spacegroup": "No. 7", "e_form_mev_per_atom": -1072.5}

=====

(2)
{"formula": "Na5AgTe2O28", "functional": "GGA-PBE", "state": "optimized geometry", "lattice": [[4.9182, 0.0000, 0.0000], [2.0927, 9.0363, 0.0000], [2.2242, 0.9027, 14.2135]], "species": ["Na", "Na", "Na", "Na", "Na", "Ag", "Te", "Te", "O", "O", "O", "O", "O", "O", "O", "O", "O", "O", "O", "O", "O", "O", "O", "O", "O", "O", "O", "O", "O", "O", "O", "O", "O", "O", "O", "O"], "frac_coords": [[0.0000, 0.0000, 0.0000], [0.1660, 0.6698, 0.4672], [0.3748, 0.7885, 0.1965], [0.6252, 0.2115, 0.8035], [0.8340, 0.3302, 0.5328], [0.5000, 0.0000, 0.5000], [0.2657, 0.2156, 0.3193], [0.7343, 0.7844, 0.6807], [0.0793, 0.1704, 0.8639], [0.1460, 0.5040, 0.2925], [0.1496, 0.2953, 0.8706], [0.1580, 0.7887, 0.6303], [0.1838, 0.8860, 0.3437], [0.2118, 0.1391, 0.1216], [0.2495, 0.6133, 0.9590], [0.2753, 0.2161, 0.4488], [0.3088, 0.7760, 0.7108], [0.3463, 0.4428, 0.5479], [0.3478, 0.7213, 0.9709], [0.3649, 0.5589, 0.2831], [0.3670, 0.0138, 0.0958], [0.3910, 0.9591, 0.3424], [0.6090, 0.0409, 0.6576], [0.6330, 0.9862, 0.9042], [0.6351, 0.4411, 0.7169], [0.6522, 0.2787, 0.0291], [0.6537, 0.5572, 0.4521], [0.6912, 0.2240, 0.2892], [0.7247, 0.7839, 0.5512], [0.7505, 0.3867, 0.0410], [0.7882, 0.8609, 0.8784], [0.8162, 0.1140, 0.6563], [0.8420, 0.2113, 0.3697], [0.8504, 0.7047, 0.1294], [0.8540, 0.4960, 0.7075], [0.9207, 0.8296, 0.1361]], "spacegroup": "No. 2", "e_form_mev_per_atom": -419.5}

=====

(3)
{"formula": "NaAgTe5O14", "functional": "GGA-PBE", "state": "optimized geometry", "lattice": [[6.7748, 0.0000, 0.0000], [0.0000, 25.0442, 0.0000], [-2.7101, 0.0000, 6.9440]], "species": ["Na", "Na", "Na", "Na", "Ag", "Ag", "Ag", "Ag", "Te", "Te", "Te", "Te", "Te", "Te", "Te", "Te", "Te", "Te", "Te", "Te", "Te", "Te", "Te", "Te", "Te", "Te", "Te", "Te", "O", "O", "O", "O", "O", "O", "O", "O", "O", "O", "O", "O", "O", "O", "O", "O", "O", "O", "O", "O", "O", "O", "O", "O", "O", "O", "O", "O", "O", "O", "O", "O", "O", "O", "O", "O", "O", "O", "O", "O", "O", "O", "O", "O", "O", "O", "O", "O", "O", "O", "O", "O", "O", "O", "O", "O"], "frac_coords": [[0.0504, 0.1266, 0.2639], [0.0504, 0.3734, 0.7639], [0.9496, 0.6266, 0.2361], [0.9496, 0.8734, 0.7361], [0.4788, 0.5657, 0.8493], [0.4788, 0.9343, 0.3493], [0.5212, 0.0657, 0.6507], [0.5212, 0.4343, 0.1507], [0.0000, 0.0000, 0.0000], [0.0000, 0.0000, 0.5000], [0.0000, 0.5000, 0.0000], [0.0000, 0.5000, 0.5000], [0.0681, 0.1253, 0.7720], [0.0681, 0.3747, 0.2720], [0.1327, 0.2493, 0.0508], [0.1327, 0.2507, 0.5508], [0.3989, 0.6881, 0.1062], [0.3989, 0.8119, 0.6062], [0.4710, 0.5713, 0.3294], [0.4710, 0.9287, 0.8294], [0.5290, 0.0713, 0.1706], [0.5290, 0.4287, 0.6706], [0.6011, 0.1881, 0.3938], [0.6011, 0.3119, 0.8938], [0.8673, 0.7493, 0.4492], [0.8673, 0.7507, 0.9492], [0.9319, 0.6253, 0.7280], [0.9319, 0.8747, 0.2280], [0.0268, 0.5266, 0.2603], [0.0268, 0.9734, 0.7603], [0.0432, 0.5751, 0.5808], [0.0432, 0.9249, 0.0808], [0.0783, 0.1739, 0.9828], [0.0783, 0.3261, 0.4828], [0.0809, 0.0751, 0.5717], [0.0809, 0.4249, 0.0717], [0.1309, 0.2233, 0.3019], [0.1309, 0.2767, 0.8019], [0.1750, 0.7433, 0.0413], [0.1750, 0.7567, 0.5413], [0.1780, 0.1753, 0.6262], [0.1780, 0.3247, 0.1262], [0.2243, 0.6426, 0.8619], [0.2243, 0.8574, 0.3619], [0.2900, 0.6453, 0.2627], [0.2900, 0.8547, 0.7627], [0.2927, 0.5184, 0.0616], [0.2927, 0.9816, 0.5616], [0.3074, 0.0069, 0.1062], [0.3074, 0.4931, 0.6062], [0.3590, 0.1048, 0.9085], [0.3590, 0.3952, 0.4085], [0.3958, 0.1053, 0.3227], [0.3958, 0.3947, 0.8227], [0.4308, 0.2374, 0.1368], [0.4308, 0.2626, 0.6368], [0.5692, 0.7374, 0.3632], [0.5692, 0.7626, 0.8632], [0.6042, 0.6053, 0.1773], [0.6042, 0.8947, 0.6773], [0.6410, 0.6048, 0.5915], [0.6410, 0.8952, 0.0915], [0.6926, 0.5069, 0.3938], [0.6926, 0.9931, 0.8938], [0.7073, 0.0184, 0.4384], [0.7073, 0.4816, 0.9384], [0.7100, 0.1453, 0.2373], [0.7100, 0.3547, 0.7373], [0.7757, 0.1426, 0.6381], [0.7757, 0.3574, 0.1381], [0.8220, 0.6753, 0.8738], [0.8220, 0.8247, 0.3738], [0.8250, 0.2433, 0.4587], [0.8250, 0.2567, 0.9587], [0.8691, 0.7233, 0.1981], [0.8691, 0.7767, 0.6981], [0.9191, 0.5751, 0.9283], [0.9191, 0.9249, 0.4283], [0.9217, 0.6739, 0.5172], [0.9217, 0.8261, 0.0172], [0.9568, 0.0751, 0.9192], [0.9568, 0.4249, 0.4192], [0.9732, 0.0266, 0.2397], [0.9732, 0.4734, 0.7397]], "spacegroup": "No. 14", "e_form_mev_per_atom": -1424.8}

=====

(4)
{"formula": "Na2AgSb", "functional": "GGA-PBE", "state": "optimized geometry", "lattice": [[4.6714, -3.9582, 0.0000], [4.6714, 3.9582, 0.0000], [0.0000, 0.0000, 5.8336]], "species": ["Na", "Na", "Na", "Na", "Ag", "Ag", "Sb", "Sb"], "frac_coords": [[0.0286, 0.3288, 0.2500], [0.3288, 0.0286, 0.7500], [0.6712, 0.9714, 0.2500], [0.9714, 0.6712, 0.7500], [0.5000, 0.5000, 0.0000], [0.5000, 0.5000, 0.5000], [0.2078, 0.7922, 0.2500], [0.7922, 0.2078, 0.7500]], "spacegroup": "No. 63", "e_form_mev_per_atom": -410.2}

=====

(5)
{"formula": "NbAgO3", "functional": "GGA-PBE", "state": "optimized geometry", "lattice": [[5.6706, 0.0000, 0.0000], [0.0000, 5.7478, 0.0000], [0.0000, 0.0000, 15.7626]], "species": ["Nb", "Nb", "Nb", "Nb", "Nb", "Nb", "Nb", "Nb", "Ag", "Ag", "Ag", "Ag", "Ag", "Ag", "Ag", "Ag", "O", "O", "O", "O", "O", "O", "O", "O", "O", "O", "O", "O", "O", "O", "O", "O", "O", "O", "O", "O", "O", "O", "O", "O"], "frac_coords": [[0.2424, 0.2145, 0.1250], [0.2424, 0.2145, 0.3750], [0.2424, 0.2855, 0.6250], [0.2424, 0.2855, 0.8750], [0.7576, 0.7145, 0.1250], [0.7576, 0.7145, 0.3750], [0.7576, 0.7855, 0.6250], [0.7576, 0.7855, 0.8750], [0.2597, 0.7500, 0.0000], [0.2597, 0.7500, 0.5000], [0.2648, 0.7158, 0.2500], [0.2648, 0.7842, 0.7500], [0.7352, 0.2158, 0.2500], [0.7352, 0.2842, 0.7500], [0.7403, 0.2500, 0.0000], [0.7403, 0.2500, 0.5000], [0.0410, 0.5435, 0.1097], [0.0410, 0.5435, 0.3903], [0.0410, 0.9565, 0.6097], [0.0410, 0.9565, 0.8903], [0.1949, 0.2257, 0.7500], [0.1949, 0.2743, 0.2500], [0.3112, 0.2500, 0.0000], [0.3112, 0.2500, 0.5000], [0.4536, 0.5375, 0.6403], [0.4536, 0.5375, 0.8597], [0.4536, 0.9625, 0.1403], [0.4536, 0.9625, 0.3597], [0.5464, 0.0375, 0.6403], [0.5464, 0.0375, 0.8597], [0.5464, 0.4625, 0.1403], [0.5464, 0.4625, 0.3597], [0.6888, 0.7500, 0.0000], [0.6888, 0.7500, 0.5000], [0.8051, 0.7257, 0.7500], [0.8051, 0.7743, 0.2500], [0.9590, 0.0435, 0.1097], [0.9590, 0.0435, 0.3903], [0.9590, 0.4565, 0.6097], [0.9590, 0.4565, 0.8903]], "spacegroup": "No. 57", "e_form_mev_per_atom": -2182.3}

=====

(6)
{"formula": "Nb13AgO33", "functional": "GGA-PBE", "state": "optimized geometry", "lattice": [[11.4703, -1.9113, 0.0000], [11.4703, 1.9113, 0.0000], [-0.5133, 0.0000, 15.7328]], "species": ["Nb", "Nb", "Nb", "Nb", "Nb", "Nb", "Nb", "Nb", "Nb", "Nb", "Nb", "Nb", "Nb", "Ag", "O", "O", "O", "O", "O", "O", "O", "O", "O", "O", "O", "O", "O", "O", "O", "O", "O", "O", "O", "O", "O", "O", "O", "O", "O", "O", "O", "O", "O", "O", "O", "O", "O"], "frac_coords": [[0.0000, 0.0000, 0.0000], [0.0713, 0.0713, 0.2265], [0.0851, 0.0851, 0.6749], [0.1367, 0.1367, 0.4663], [0.1537, 0.1537, 0.9038], [0.2245, 0.2245, 0.1370], [0.2917, 0.2917, 0.3741], [0.7083, 0.7083, 0.6259], [0.7755, 0.7755, 0.8630], [0.8463, 0.8463, 0.0962], [0.8633, 0.8633, 0.5337], [0.9149, 0.9149, 0.3251], [0.9287, 0.9287, 0.7735], [0.5000, 0.5000, 0.5000], [0.0113, 0.0113, 0.7109], [0.0354, 0.0354, 0.1185], [0.0675, 0.0675, 0.5441], [0.0811, 0.0811, 0.9518], [0.1009, 0.1009, 0.3642], [0.1271, 0.1271, 0.7877], [0.1529, 0.1529, 0.1950], [0.1823, 0.1823, 0.6117], [0.1940, 0.1940, 0.0277], [0.2219, 0.2219, 0.4305], [0.2503, 0.2503, 0.8630], [0.2674, 0.2674, 0.2640], [0.3206, 0.3206, 0.0987], [0.3473, 0.3473, 0.5030], [0.3902, 0.3902, 0.3371], [0.4307, 0.4307, 0.7457], [0.5000, 0.5000, 0.0000], [0.5693, 0.5693, 0.2543], [0.6098, 0.6098, 0.6629], [0.6527, 0.6527, 0.4970], [0.6794, 0.6794, 0.9013], [0.7326, 0.7326, 0.7360], [0.7497, 0.7497, 0.1370], [0.7781, 0.7781, 0.5695], [0.8060, 0.8060, 0.9723], [0.8177, 0.8177, 0.3883], [0.8471, 0.8471, 0.8050], [0.8729, 0.8729, 0.2123], [0.8991, 0.8991, 0.6358], [0.9189, 0.9189, 0.0482], [0.9325, 0.9325, 0.4559], [0.9646, 0.9646, 0.8815], [0.9887, 0.9887, 0.2891]], "spacegroup": "No. 12", "e_form_mev_per_atom": -2976.8}